Compound: Na2NiPCO7
Source: the Materials Project database
Functional: PBE+U
Structure: optimized geometry Values from VASP.

The structure in Quantum ESPRESSO input format:
```
&SYSTEM
  ibrav = 0, nat = 48, ntyp = 5
/
ATOMIC_SPECIES
Na 22.99 Na.upf
Ni 58.69 Ni.upf
P 30.97 P.upf
C 12.01 C.upf
O 16.00 O.upf
CELL_PARAMETERS angstrom
5.162 0.000 0.000
0.217 8.922 0.000
0.030 0.101 13.175
ATOMIC_POSITIONS crystal
Na 0.000 0.000 0.000
Na 0.001 0.003 0.499
Na 0.004 0.010 0.762
Na 0.504 0.480 0.518
Na 0.512 0.495 0.248
Na 0.516 0.501 0.005
Na 0.966 0.654 0.647
Na 0.997 0.996 0.261
Ni 0.536 0.093 0.630
Ni 0.538 0.099 0.130
Ni 0.969 0.399 0.877
Ni 0.971 0.396 0.379
P 0.040 0.325 0.128
P 0.041 0.323 0.630
P 0.469 0.169 0.380
P 0.473 0.170 0.880
C 0.037 0.680 0.882
C 0.039 0.672 0.380
C 0.468 0.818 0.627
C 0.474 0.822 0.130
O 0.064 0.812 0.382
O 0.074 0.819 0.880
O 0.167 0.199 0.380
O 0.172 0.200 0.880
O 0.224 0.580 0.882
O 0.233 0.576 0.379
O 0.276 0.916 0.631
O 0.279 0.917 0.131
O 0.337 0.285 0.624
O 0.342 0.295 0.129
O 0.431 0.679 0.622
O 0.448 0.682 0.129
O 0.544 0.072 0.473
O 0.545 0.076 0.285
O 0.546 0.072 0.974
O 0.552 0.074 0.786
O 0.603 0.322 0.381
O 0.610 0.321 0.882
O 0.699 0.884 0.131
O 0.700 0.873 0.629
O 0.809 0.622 0.880
O 0.813 0.610 0.380
O 0.898 0.173 0.628
O 0.907 0.171 0.129
O 0.963 0.419 0.034
O 0.963 0.419 0.223
O 0.966 0.426 0.538
O 0.978 0.419 0.724
```

Calculated values
MP2020-corrected energy (eV per atom): -6.88
V (Å³/atom): 12.64
SG: P1, No. 1
Total DFT energy (no corrections) (eV/atom): -6.266
E above lowest polymorph (eV per atom): 0.018
ΔH_f (0 K) (meV per atom): -2070.1